Compound: V8Fe3N8
Source: the Materials Project database
Functional: PBE
Structure: optimized geometry

Summary:
Raw total energy = -9.377 eV/atom

Lattice parameters (Å, degrees): 8.2242 8.2242 5.9128 104.59 104.59 28.36
Closest atoms and distances in Å follow each position.
Atoms (fractional coordinates):
V 0.0374 0.0374 0.2508  5 N 1.96-2.14
V 0.2097 0.2097 0.8208  4 N 1.93-2.13
V 0.3475 0.3475 0.5098  4 N 2.01-2.09
V 0.4074 0.4074 0.0467  5 N 2.02-2.06
V 0.5926 0.5926 0.9533  5 N 2.02-2.06
V 0.6525 0.6525 0.4902  4 N 2.01-2.09
V 0.7903 0.7903 0.1792  4 N 1.93-2.13
V 0.9626 0.9626 0.7492  5 N 1.96-2.14
Fe 0.1894 0.1894 0.2288  3 N 1.85-1.90
Fe 0.5000 0.5000 0.5000  2 N 1.84
Fe 0.8106 0.8106 0.7712  3 N 1.85-1.90
N 0.0940 0.0940 0.9593  1 Fe 1.90, 2 V 2.02
N 0.1475 0.1475 0.4933  1 Fe 1.85, 4 V 1.93-2.02
N 0.2973 0.2973 0.1613  1 Fe 1.86, 4 V 2.01-2.04
N 0.4645 0.4645 0.7723  1 Fe 1.84, 4 V 2.02-2.06
N 0.5355 0.5355 0.2277  1 Fe 1.84, 4 V 2.02-2.06
N 0.7027 0.7027 0.8387  1 Fe 1.86, 4 V 2.01-2.04
N 0.8525 0.8525 0.5067  1 Fe 1.85, 4 V 1.93-2.02
N 0.9060 0.9060 0.0407  1 Fe 1.90, 2 V 2.02

Compound: Th2Cu
Source: the Materials Project database
Functional: PBE
Structure: optimized geometry

Summary:
Raw total energy = -6.405 eV/atom

Lattice parameters (Å, degrees): 5.8992 5.8992 5.8992 103.89 103.89 121.33
Closest atoms and distances in Å follow each position.
Atoms (fractional coordinates):
Th 0.1607 0.6607 0.8214  4 Cu 3.09, 3 Th 3.31-3.42
Th 0.3393 0.1607 0.5000  4 Cu 3.09, 3 Th 3.31-3.42
Th 0.6607 0.8393 0.5000  4 Cu 3.09, 3 Th 3.31-3.42
Th 0.8393 0.3393 0.1786  4 Cu 3.09, 3 Th 3.31-3.42
Cu 0.2500 0.2500 0.0000  2 Cu 2.89, 8 Th 3.09
Cu 0.7500 0.7500 0.0000  2 Cu 2.89, 8 Th 3.09

Compound: MgO
Source: the Materials Project database
Functional: PBE
Structure: optimized geometry

Summary:
Raw total energy = -5.947 eV/atom

Lattice parameters (Å, degrees): 3.5247 3.5247 4.2311 90.00 90.00 120.00
Closest atoms and distances in Å follow each position.
Atoms (fractional coordinates):
Mg 0.3333 0.6667 0.2500  5 O 2.03-2.12
Mg 0.6667 0.3333 0.7500  5 O 2.03-2.12
O 0.3333 0.6667 0.7500  5 Mg 2.03-2.12
O 0.6667 0.3333 0.2500  5 Mg 2.03-2.12

Compound: CaO2
Source: the Materials Project database
Functional: PBE
Structure: optimized geometry

Summary:
Raw total energy = -5.434 eV/atom

Lattice parameters (Å, degrees): 3.9334 3.9334 3.6894 112.46 112.46 54.85
Closest atoms and distances in Å follow each position.
Atoms (fractional coordinates):
Ca 0.0000 0.0000 0.0000  8 O 2.42-2.45
O 0.2518 0.2518 0.7011  2 O 2.33, 4 Ca 2.42-2.45
O 0.7482 0.7482 0.2989  2 O 2.33, 4 Ca 2.42-2.45

Compound: Al2O3
Source: the Materials Project database
Functional: PBE
Structure: optimized geometry

Summary:
Raw total energy = -7.409 eV/atom

Lattice parameters (Å, degrees): 4.8465 4.8465 9.0859 90.00 90.00 120.00
Closest atoms and distances in Å follow each position.
Atoms (fractional coordinates):
Al 0.0000 0.0000 0.0000  6 O 1.94
Al 0.0000 0.0000 0.5000  6 O 1.94
Al 0.3333 0.6667 0.0372  6 O 1.85-2.01
Al 0.3333 0.6667 0.4628  6 O 1.85-2.01
Al 0.3333 0.6667 0.7500  6 O 1.94
Al 0.6667 0.3333 0.2500  6 O 1.94
Al 0.6667 0.3333 0.5372  6 O 1.85-2.01
Al 0.6667 0.3333 0.9628  6 O 1.85-2.01
O 0.0318 0.3552 0.8881  4 Al 1.85-2.01
O 0.0318 0.6766 0.6119  4 Al 1.85-2.01
O 0.3234 0.3552 0.6119  4 Al 1.85-2.01
O 0.3234 0.9682 0.8881  4 Al 1.85-2.01
O 0.3552 0.0318 0.3881  4 Al 1.85-2.01
O 0.3552 0.3234 0.1119  4 Al 1.85-2.01
O 0.6448 0.6766 0.8881  4 Al 1.85-2.01
O 0.6448 0.9682 0.6119  4 Al 1.85-2.01
O 0.6766 0.0318 0.1119  4 Al 1.85-2.01
O 0.6766 0.6448 0.3881  4 Al 1.85-2.01
O 0.9682 0.3234 0.3881  4 Al 1.85-2.01
O 0.9682 0.6448 0.1119  4 Al 1.85-2.01

Compound: Rb2Cd3B16O28
Source: the Materials Project database
Functional: PBE
Structure: optimized geometry

Summary:
Raw total energy = -7.394 eV/atom

Lattice parameters (Å, degrees): 11.5666 11.5666 13.5260 91.55 91.55 39.32
Closest atoms and distances in Å follow each position.
Atoms (fractional coordinates):
Rb 0.2219 0.2774 0.0932  6 O 2.93-3.23
Rb 0.2774 0.2219 0.5932  6 O 2.93-3.23
Rb 0.7226 0.7781 0.4068  6 O 2.93-3.23
Rb 0.7781 0.7226 0.9068  6 O 2.93-3.23
Cd 0.2411 0.7571 0.6018  6 O 2.26-2.40
Cd 0.2429 0.7589 0.8982  6 O 2.26-2.40
Cd 0.2584 0.7416 0.2500  6 O 2.32-2.41
Cd 0.7416 0.2584 0.7500  6 O 2.32-2.41
Cd 0.7571 0.2411 0.1018  6 O 2.26-2.40
Cd 0.7589 0.2429 0.3982  6 O 2.26-2.40
B 0.0038 0.8224 0.0789  4 O 1.47-1.50
B 0.0055 0.8407 0.4123  3 O 1.37-1.38
B 0.0211 0.1713 0.2591  4 O 1.48-1.51
B 0.1432 0.2325 0.8476  3 O 1.36-1.39
B 0.1593 0.9945 0.0877  3 O 1.37-1.38
B 0.1713 0.0211 0.7591  4 O 1.48-1.51
B 0.1776 0.9962 0.4211  4 O 1.47-1.50
B 0.2325 0.1432 0.3476  3 O 1.36-1.39
B 0.2847 0.3357 0.8398  3 O 1.36-1.40
B 0.3239 0.4850 0.7471  4 O 1.46-1.53
B 0.3282 0.4872 0.4126  4 O 1.47-1.50
B 0.3357 0.2847 0.3398  3 O 1.36-1.40
B 0.3494 0.5121 0.0768  3 O 1.38-1.39
B 0.4850 0.3239 0.2471  4 O 1.46-1.53
B 0.4872 0.3282 0.9126  4 O 1.47-1.50
B 0.4879 0.6506 0.4232  3 O 1.38-1.39
B 0.5121 0.3494 0.5768  3 O 1.38-1.39
B 0.5128 0.6718 0.0874  4 O 1.47-1.50
B 0.5150 0.6761 0.7529  4 O 1.46-1.53
B 0.6506 0.4879 0.9232  3 O 1.38-1.39
B 0.6643 0.7153 0.6602  3 O 1.36-1.40
B 0.6718 0.5128 0.5874  4 O 1.47-1.50
B 0.6761 0.5150 0.2529  4 O 1.46-1.53
B 0.7153 0.6643 0.1602  3 O 1.36-1.40
B 0.7675 0.8568 0.6524  3 O 1.36-1.39
B 0.8224 0.0038 0.5789  4 O 1.47-1.50
B 0.8287 0.9789 0.2409  4 O 1.48-1.51
B 0.8407 0.0055 0.9123  3 O 1.37-1.38
B 0.8568 0.7675 0.1524  3 O 1.36-1.39
B 0.9789 0.8287 0.7409  4 O 1.48-1.51
B 0.9945 0.1593 0.5877  3 O 1.37-1.38
B 0.9962 0.1776 0.9211  4 O 1.47-1.50
O 0.0139 0.1103 0.8216  2 B 1.47-1.49
O 0.0145 0.1239 0.4874  2 B 1.38-1.50
O 0.0221 0.1351 0.1511  2 B 1.38-1.51
O 0.0446 0.2636 0.9234  2 B 1.37-1.47
O 0.1103 0.0139 0.3216  2 B 1.47-1.49
O 0.1192 0.2076 0.2690  2 B 1.36-1.49
O 0.1239 0.0145 0.9874  2 B 1.38-1.50
O 0.1351 0.0221 0.6511  2 B 1.38-1.51
O 0.1688 0.6770 0.3743  2 B 1.37-1.50
O 0.1710 0.3295 0.8564  2 B 1.39-1.40
O 0.1734 0.6726 0.7114  2 B 1.46-1.48
O 0.1936 0.6864 0.0409  2 B 1.39-1.49
O 0.2076 0.1192 0.7690  2 B 1.36-1.49
O 0.2636 0.0446 0.4234  2 B 1.37-1.47
O 0.2698 0.4039 0.7530  2 B 1.36-1.48
O 0.2823 0.3981 0.4164  2 B 1.37-1.48
O 0.3136 0.8064 0.4591  2 B 1.39-1.49
O 0.3230 0.8312 0.1257  2 B 1.37-1.50
O 0.3274 0.8266 0.7886  2 B 1.46-1.48
O 0.3295 0.1710 0.3564  2 B 1.39-1.40
O 0.3671 0.4854 0.1772  2 B 1.38-1.53
O 0.3741 0.4917 0.5149  2 B 1.38-1.48
O 0.3905 0.4790 0.8445  2 B 1.47-1.48
O 0.3981 0.2823 0.9164  2 B 1.37-1.48
O 0.4039 0.2698 0.2530  2 B 1.36-1.48
O 0.4790 0.3905 0.3445  2 B 1.47-1.48
O 0.4854 0.3671 0.6772  2 B 1.38-1.53
O 0.4917 0.3741 0.0149  2 B 1.38-1.48
O 0.5083 0.6259 0.9851  2 B 1.38-1.48
O 0.5146 0.6329 0.3228  2 B 1.38-1.53
O 0.5210 0.6095 0.6555  2 B 1.47-1.48
O 0.5961 0.7302 0.7470  2 B 1.36-1.48
O 0.6019 0.7177 0.0836  2 B 1.37-1.48
O 0.6095 0.5210 0.1555  2 B 1.47-1.48
O 0.6259 0.5083 0.4851  2 B 1.38-1.48
O 0.6329 0.5146 0.8228  2 B 1.38-1.53
O 0.6705 0.8290 0.6436  2 B 1.39-1.40
O 0.6726 0.1734 0.2114  2 B 1.46-1.48
O 0.6770 0.1688 0.8743  2 B 1.37-1.50
O 0.6864 0.1936 0.5409  2 B 1.39-1.49
O 0.7177 0.6019 0.5836  2 B 1.37-1.48
O 0.7302 0.5961 0.2470  2 B 1.36-1.48
O 0.7364 0.9554 0.5766  2 B 1.37-1.47
O 0.7924 0.8808 0.2310  2 B 1.36-1.49
O 0.8064 0.3136 0.9591  2 B 1.39-1.49
O 0.8266 0.3274 0.2886  2 B 1.46-1.48
O 0.8290 0.6705 0.1436  2 B 1.39-1.40
O 0.8312 0.3230 0.6257  2 B 1.37-1.50
O 0.8649 0.9779 0.3489  2 B 1.38-1.51
O 0.8761 0.9855 0.0126  2 B 1.38-1.50
O 0.8808 0.7924 0.7310  2 B 1.36-1.49
O 0.8897 0.9861 0.6784  2 B 1.47-1.49
O 0.9554 0.7364 0.0766  2 B 1.37-1.47
O 0.9779 0.8649 0.8489  2 B 1.38-1.51
O 0.9855 0.8761 0.5126  2 B 1.38-1.50
O 0.9861 0.8897 0.1784  2 B 1.47-1.49

Compound: AlVFe2
Source: the Materials Project database
Functional: PBE
Structure: optimized geometry

Summary:
Raw total energy = -7.871 eV/atom

Lattice parameters (Å, degrees): 4.0359 4.0359 4.0359 60.00 60.00 60.00
Closest atoms and distances in Å follow each position.
Atoms (fractional coordinates):
Al 0.0000 0.0000 0.0000  8 Fe 2.47
V 0.5000 0.5000 0.5000  8 Fe 2.47
Fe 0.2500 0.2500 0.2500  4 V 2.47, 4 Al 2.47
Fe 0.7500 0.7500 0.7500  4 V 2.47, 4 Al 2.47

Compound: NaBi2O4
Source: the Materials Project database
Functional: PBE
Structure: optimized geometry

Summary:
Raw total energy = -5.313 eV/atom

Lattice parameters (Å, degrees): 10.4859 3.4712 12.3362 90.00 90.00 90.00
Closest atoms and distances in Å follow each position.
Atoms (fractional coordinates):
Na 0.2424 0.2500 0.1471  7 O 2.69-2.87
Na 0.2576 0.7500 0.6471  7 O 2.69-2.87
Na 0.7424 0.2500 0.3529  7 O 2.69-2.87
Na 0.7576 0.7500 0.8529  7 O 2.69-2.87
Bi 0.0660 0.2500 0.3844  6 O 2.29-2.42
Bi 0.0841 0.2500 0.8937  6 O 2.26-2.37
Bi 0.4159 0.7500 0.3937  6 O 2.26-2.37
Bi 0.4340 0.7500 0.8844  6 O 2.29-2.42
Bi 0.5660 0.2500 0.1156  6 O 2.29-2.42
Bi 0.5841 0.2500 0.6063  6 O 2.26-2.37
Bi 0.9159 0.7500 0.1063  6 O 2.26-2.37
Bi 0.9340 0.7500 0.6156  6 O 2.29-2.42
O 0.0155 0.7500 0.7880  3 Bi 2.29
O 0.0802 0.2500 0.5767  3 Bi 2.37-2.38
O 0.1145 0.7500 0.0213  3 Bi 2.33-2.37
O 0.2135 0.7500 0.3308  3 Bi 2.26-2.42
O 0.2865 0.2500 0.8308  3 Bi 2.26-2.42
O 0.3855 0.2500 0.5213  3 Bi 2.33-2.37
O 0.4198 0.7500 0.0767  3 Bi 2.37-2.38
O 0.4845 0.2500 0.2880  3 Bi 2.29
O 0.5155 0.7500 0.7120  3 Bi 2.29
O 0.5802 0.2500 0.9233  3 Bi 2.37-2.38
O 0.6145 0.7500 0.4787  3 Bi 2.33-2.37
O 0.7135 0.7500 0.1692  3 Bi 2.26-2.42
O 0.7865 0.2500 0.6692  3 Bi 2.26-2.42
O 0.8855 0.2500 0.9787  3 Bi 2.33-2.37
O 0.9198 0.7500 0.4233  3 Bi 2.37-2.38
O 0.9845 0.2500 0.2120  3 Bi 2.29